The following is a DFT calculation (PBE) of a relaxed structure of NaTiGeP3O12.

a = 8.466 Å, b = 8.466 Å, c = 22.055 Å
α = 90.00°, β = 90.00°, γ = 120.00°
Atoms (fractional coordinates):
Na (0.000, 0.000, 0.000)
Na (0.000, 0.000, 0.500)
Na (0.333, 0.667, 0.166)
Na (0.333, 0.667, 0.666)
Na (0.667, 0.333, 0.333)
Na (0.667, 0.333, 0.833)
Ti (0.000, 0.000, 0.646)
Ti (0.000, 0.000, 0.855)
Ti (0.333, 0.667, 0.311)
Ti (0.333, 0.667, 0.814)
Ti (0.667, 0.333, 0.478)
Ti (0.667, 0.333, 0.686)
Ge (0.000, 0.000, 0.146)
Ge (0.000, 0.000, 0.352)
Ge (0.333, 0.667, 0.020)
Ge (0.333, 0.667, 0.518)
Ge (0.667, 0.333, 0.186)
Ge (0.667, 0.333, 0.981)
P (0.000, 0.288, 0.750)
P (0.043, 0.662, 0.919)
P (0.048, 0.377, 0.416)
P (0.286, 0.282, 0.249)
P (0.288, 0.000, 0.750)
P (0.329, 0.952, 0.416)
P (0.338, 0.381, 0.919)
P (0.378, 0.338, 0.582)
P (0.379, 0.046, 0.083)
P (0.619, 0.957, 0.919)
P (0.623, 0.671, 0.416)
P (0.662, 0.040, 0.582)
P (0.667, 0.621, 0.083)
P (0.712, 0.712, 0.750)
P (0.718, 0.004, 0.249)
P (0.954, 0.333, 0.083)
P (0.960, 0.622, 0.582)
P (0.996, 0.714, 0.249)
O (0.025, 0.832, 0.910)
O (0.027, 0.185, 0.409)
O (0.033, 0.203, 0.693)
O (0.036, 0.833, 0.192)
O (0.127, 0.630, 0.861)
O (0.132, 0.497, 0.360)
O (0.145, 0.505, 0.075)
O (0.150, 0.640, 0.575)
O (0.159, 0.973, 0.409)
O (0.165, 0.459, 0.474)
O (0.165, 0.693, 0.256)
O (0.166, 0.702, 0.975)
O (0.167, 0.202, 0.192)
O (0.168, 0.192, 0.910)
O (0.170, 0.477, 0.757)
O (0.170, 0.967, 0.693)
O (0.188, 0.026, 0.091)
O (0.190, 0.167, 0.590)
O (0.203, 0.033, 0.806)
O (0.206, 0.166, 0.307)
O (0.294, 0.835, 0.474)
O (0.298, 0.463, 0.975)
O (0.307, 0.472, 0.256)
O (0.308, 0.830, 0.757)
O (0.359, 0.855, 0.075)
O (0.360, 0.509, 0.575)
O (0.365, 0.868, 0.360)
O (0.370, 0.497, 0.861)
O (0.460, 0.165, 0.026)
O (0.464, 0.302, 0.526)
O (0.477, 0.170, 0.743)
O (0.479, 0.305, 0.241)
O (0.491, 0.850, 0.575)
O (0.495, 0.370, 0.639)
O (0.495, 0.641, 0.075)
O (0.498, 0.127, 0.140)
O (0.499, 0.141, 0.424)
O (0.503, 0.635, 0.360)
O (0.503, 0.873, 0.861)
O (0.509, 0.361, 0.925)
O (0.523, 0.692, 0.757)
O (0.528, 0.835, 0.256)
O (0.537, 0.834, 0.975)
O (0.541, 0.706, 0.474)
O (0.629, 0.502, 0.140)
O (0.630, 0.126, 0.639)
O (0.639, 0.148, 0.925)
O (0.642, 0.501, 0.424)
O (0.692, 0.523, 0.743)
O (0.695, 0.174, 0.241)
O (0.698, 0.161, 0.526)
O (0.704, 0.540, 0.026)
O (0.797, 0.830, 0.693)
O (0.798, 0.964, 0.192)
O (0.808, 0.975, 0.910)
O (0.815, 0.841, 0.409)
O (0.826, 0.521, 0.241)
O (0.830, 0.308, 0.743)
O (0.830, 0.797, 0.806)
O (0.833, 0.023, 0.590)
O (0.834, 0.040, 0.307)
O (0.835, 0.296, 0.026)
O (0.838, 0.812, 0.091)
O (0.839, 0.536, 0.526)
O (0.852, 0.491, 0.925)
O (0.859, 0.358, 0.424)
O (0.873, 0.371, 0.140)
O (0.874, 0.505, 0.639)
O (0.960, 0.794, 0.307)
O (0.967, 0.170, 0.806)
O (0.974, 0.162, 0.091)
O (0.977, 0.810, 0.590)

Calculated values
Space-group type   P3, No. 143
V   228.2 Å³/f.u.
Energy   -7.253 eV/atom

---

The following is a DFT calculation (PBE) of a relaxed structure of NdSe3O12.

a = 9.701 Å, b = 9.701 Å, c = 6.321 Å
α = 90.00°, β = 90.00°, γ = 120.00°
Atoms (fractional coordinates):
Nd (0.333, 0.667, 0.250)
Nd (0.667, 0.333, 0.750)
Se (0.092, 0.390, 0.750)
Se (0.298, 0.908, 0.750)
Se (0.390, 0.298, 0.250)
Se (0.610, 0.702, 0.750)
Se (0.702, 0.092, 0.250)
Se (0.908, 0.610, 0.250)
O (0.011, 0.193, 0.750)
O (0.040, 0.547, 0.250)
O (0.182, 0.989, 0.750)
O (0.193, 0.182, 0.250)
O (0.211, 0.462, 0.537)
O (0.211, 0.462, 0.963)
O (0.251, 0.789, 0.537)
O (0.251, 0.789, 0.963)
O (0.453, 0.493, 0.250)
O (0.462, 0.251, 0.037)
O (0.462, 0.251, 0.463)
O (0.493, 0.040, 0.750)
O (0.507, 0.960, 0.250)
O (0.538, 0.749, 0.537)
O (0.538, 0.749, 0.963)
O (0.547, 0.507, 0.750)
O (0.749, 0.211, 0.037)
O (0.749, 0.211, 0.463)
O (0.789, 0.538, 0.037)
O (0.789, 0.538, 0.463)
O (0.807, 0.818, 0.750)
O (0.818, 0.011, 0.250)
O (0.960, 0.453, 0.750)
O (0.989, 0.807, 0.250)

Calculated values
Space-group type   P6_3/m, No. 176
V   257.6 Å³/f.u.
Energy   -5.427 eV/atom

---

The following is a DFT calculation (PBE) of a relaxed structure of LiNb2Te4Cl10O.

a = 6.865 Å, b = 8.879 Å, c = 9.633 Å
α = 79.96°, β = 87.94°, γ = 74.39°
Atoms (fractional coordinates):
Li (0.000, 0.000, 0.000)
Nb (0.272, 0.303, 0.957)
Nb (0.315, 0.576, 0.220)
Te (0.608, 0.027, 0.419)
Te (0.696, 0.738, 0.595)
Te (0.883, 0.119, 0.563)
Te (0.992, 0.822, 0.725)
Cl (0.128, 0.143, 0.144)
Cl (0.160, 0.423, 0.390)
Cl (0.206, 0.097, 0.809)
Cl (0.335, 0.749, 0.382)
Cl (0.406, 0.429, 0.756)
Cl (0.455, 0.724, 0.037)
Cl (0.602, 0.121, 0.010)
Cl (0.641, 0.407, 0.292)
Cl (0.939, 0.457, 0.879)
Cl (0.981, 0.745, 0.143)
O (0.296, 0.433, 0.081)

Calculated values
Distance to the lowest polymorph of the same formula   11 meV/atom
Space-group type   P1, No. 1
V   556.8 Å³/f.u.

---

The following is a DFT calculation (PBE) of a relaxed structure of ErOs3.

a = 5.778 Å, b = 5.778 Å, c = 4.602 Å
α = 90.00°, β = 90.00°, γ = 120.00°
Atoms (fractional coordinates):
Er (0.333, 0.667, 0.250)
Er (0.667, 0.333, 0.750)
Os (0.160, 0.321, 0.750)
Os (0.160, 0.840, 0.750)
Os (0.321, 0.160, 0.250)
Os (0.679, 0.840, 0.750)
Os (0.840, 0.160, 0.250)
Os (0.840, 0.679, 0.250)

Calculated values
Space-group type   P6_3/mmc, No. 194
V   66.5 Å³/f.u.
Energy   -9.218 eV/atom

---

The following is a DFT calculation (PBE) of a relaxed structure of SrTe3O8.

a = 6.964 Å, b = 6.964 Å, c = 6.858 Å
α = 90.00°, β = 90.00°, γ = 90.00°
Atoms (fractional coordinates):
Sr (0.000, 0.000, 0.250)
Sr (0.000, 0.000, 0.750)
Te (0.000, 0.500, 0.000)
Te (0.215, 0.434, 0.500)
Te (0.434, 0.785, 0.000)
Te (0.500, 0.000, 0.500)
Te (0.566, 0.215, 0.000)
Te (0.785, 0.566, 0.500)
O (0.046, 0.678, 0.500)
O (0.117, 0.757, 0.000)
O (0.188, 0.412, 0.194)
O (0.188, 0.412, 0.806)
O (0.243, 0.117, 0.500)
O (0.322, 0.046, 0.000)
O (0.412, 0.812, 0.306)
O (0.412, 0.812, 0.694)
O (0.588, 0.188, 0.306)
O (0.588, 0.188, 0.694)
O (0.678, 0.954, 0.000)
O (0.757, 0.883, 0.500)
O (0.812, 0.588, 0.194)
O (0.812, 0.588, 0.806)
O (0.883, 0.243, 0.000)
O (0.954, 0.322, 0.500)

Calculated values
Space-group type   P4_2/m, No. 84
V   166.3 Å³/f.u.
Energy   -5.646 eV/atom

---

The following is a DFT calculation (PBE) of a relaxed structure of Nd6Fe13Si.

a = 12.825 Å, b = 12.825 Å, c = 12.825 Å
α = 143.55°, β = 143.55°, γ = 52.51°
Atoms (fractional coordinates):
Nd (0.023, 0.523, 0.167)
Nd (0.109, 0.109, 0.000)
Nd (0.145, 0.977, 0.500)
Nd (0.355, 0.855, 0.833)
Nd (0.391, 0.391, 0.000)
Nd (0.477, 0.645, 0.500)
Nd (0.523, 0.355, 0.500)
Nd (0.609, 0.609, 0.000)
Nd (0.645, 0.145, 0.167)
Nd (0.855, 0.023, 0.500)
Nd (0.891, 0.891, 0.000)
Nd (0.977, 0.477, 0.833)
Fe (0.000, 0.500, 0.500)
Fe (0.018, 0.291, 0.500)
Fe (0.066, 0.209, 0.275)
Fe (0.119, 0.619, 0.858)
Fe (0.209, 0.482, 0.500)
Fe (0.209, 0.934, 0.143)
Fe (0.239, 0.739, 0.858)
Fe (0.261, 0.119, 0.500)
Fe (0.291, 0.434, 0.725)
Fe (0.291, 0.791, 0.274)
Fe (0.381, 0.239, 0.500)
Fe (0.434, 0.709, 0.143)
Fe (0.482, 0.982, 0.274)
Fe (0.500, 0.000, 0.500)
Fe (0.518, 0.018, 0.726)
Fe (0.566, 0.291, 0.857)
Fe (0.619, 0.761, 0.500)
Fe (0.709, 0.209, 0.726)
Fe (0.709, 0.566, 0.275)
Fe (0.739, 0.881, 0.500)
Fe (0.761, 0.261, 0.142)
Fe (0.791, 0.066, 0.857)
Fe (0.791, 0.518, 0.500)
Fe (0.881, 0.381, 0.142)
Fe (0.934, 0.791, 0.725)
Fe (0.982, 0.709, 0.500)
Si (0.250, 0.250, 0.000)
Si (0.750, 0.750, 0.000)

Calculated values
Space-group type   I4/mcm, No. 140
V   370.1 Å³/f.u.
Energy   -7.273 eV/atom

---

The following is a DFT calculation (PBE) of a relaxed structure of YErCu2.

a = 4.891 Å, b = 4.891 Å, c = 4.891 Å
α = 60.00°, β = 60.00°, γ = 60.00°
Atoms (fractional coordinates):
Y (0.000, 0.000, 0.000)
Er (0.500, 0.500, 0.500)
Cu (0.250, 0.250, 0.250)
Cu (0.750, 0.750, 0.750)

Calculated values
Space-group type   Fm-3m, No. 225
V   82.7 Å³/f.u.
Energy   -5.063 eV/atom

---

The following is a DFT calculation (PBE) of a relaxed structure of CsPbBr3.

a = 8.460 Å, b = 8.460 Å, c = 8.460 Å
α = 120.10°, β = 120.10°, γ = 89.83°
Atoms (fractional coordinates):
Cs (0.250, 0.750, 0.500)
Cs (0.750, 0.250, 0.500)
Pb (0.000, 0.000, 0.000)
Pb (0.500, 0.500, 0.000)
Br (0.219, 0.719, 0.938)
Br (0.250, 0.250, 0.000)
Br (0.281, 0.219, 0.500)
Br (0.719, 0.781, 0.500)
Br (0.750, 0.750, 0.000)
Br (0.781, 0.281, 0.062)

Calculated values
Space-group type   I4/mcm, No. 140
V   213.7 Å³/f.u.
Energy   -3.211 eV/atom

---

The following is a DFT calculation (PBE) of a relaxed structure of Lu3Si2Ni6.

a = 7.466 Å, b = 7.466 Å, c = 7.466 Å
α = 109.47°, β = 109.47°, γ = 109.47°
Atoms (fractional coordinates):
Lu (0.000, 0.283, 0.283)
Lu (0.000, 0.717, 0.717)
Lu (0.283, 0.000, 0.283)
Lu (0.283, 0.283, 0.000)
Lu (0.717, 0.000, 0.717)
Lu (0.717, 0.717, 0.000)
Si (0.000, 0.000, 0.500)
Si (0.000, 0.500, 0.000)
Si (0.500, 0.000, 0.000)
Si (0.500, 0.500, 0.500)
Ni (0.000, 0.332, 0.668)
Ni (0.000, 0.668, 0.332)
Ni (0.332, 0.000, 0.668)
Ni (0.332, 0.332, 0.663)
Ni (0.332, 0.663, 0.332)
Ni (0.332, 0.668, 0.000)
Ni (0.337, 0.668, 0.668)
Ni (0.663, 0.332, 0.332)
Ni (0.668, 0.000, 0.332)
Ni (0.668, 0.332, 0.000)
Ni (0.668, 0.337, 0.668)
Ni (0.668, 0.668, 0.337)

Calculated values
Space-group type   Im-3m, No. 229
V   160.2 Å³/f.u.
Energy   -6.076 eV/atom

---

The following is a DFT calculation (PBE) of a relaxed structure of Ca2MgPd2.

a = 5.805 Å, b = 5.805 Å, c = 5.805 Å
α = 136.20°, β = 118.54°, γ = 78.49°
Atoms (fractional coordinates):
Ca (0.199, 0.199, 0.000)
Ca (0.801, 0.801, 0.000)
Mg (0.500, 0.000, 0.500)
Pd (0.236, 0.500, 0.736)
Pd (0.764, 0.500, 0.264)

Calculated values
Space-group type   Immm, No. 71
V   115.5 Å³/f.u.
Energy   -3.870 eV/atom

---

The following is a DFT calculation (PBE) of a relaxed structure of DyGaRh2.

a = 4.574 Å, b = 4.574 Å, c = 4.574 Å
α = 60.00°, β = 60.00°, γ = 60.00°
Atoms (fractional coordinates):
Dy (0.000, 0.000, 0.000)
Ga (0.500, 0.500, 0.500)
Rh (0.250, 0.250, 0.250)
Rh (0.750, 0.750, 0.750)

Calculated values
Space-group type   Fm-3m, No. 225
V   67.7 Å³/f.u.
Energy   -6.409 eV/atom

---

The following is a DFT calculation (PBE) of a relaxed structure of CaAs2Xe4F20.

a = 8.558 Å, b = 15.644 Å, c = 8.835 Å
α = 90.00°, β = 111.68°, γ = 90.00°
Atoms (fractional coordinates):
Ca (0.135, 0.000, 0.092)
Ca (0.865, 0.500, 0.908)
As (0.216, 0.571, 0.344)
As (0.302, 0.832, 0.826)
As (0.698, 0.332, 0.174)
As (0.784, 0.071, 0.656)
Xe (0.141, 0.276, 0.027)
Xe (0.258, 0.093, 0.592)
Xe (0.340, 0.547, 0.867)
Xe (0.469, 0.828, 0.414)
Xe (0.531, 0.328, 0.586)
Xe (0.660, 0.047, 0.133)
Xe (0.742, 0.593, 0.408)
Xe (0.859, 0.776, 0.973)
F (0.022, 0.557, 0.166)
F (0.091, 0.402, 0.942)
F (0.101, 0.571, 0.863)
F (0.128, 0.509, 0.460)
F (0.128, 0.664, 0.391)
F (0.163, 0.749, 0.830)
F (0.175, 0.857, 0.623)
F (0.176, 0.906, 0.895)
F (0.197, 0.153, 0.116)
F (0.217, 0.027, 0.372)
F (0.241, 0.872, 0.238)
F (0.294, 0.477, 0.287)
F (0.299, 0.632, 0.222)
F (0.304, 0.154, 0.808)
F (0.310, 0.281, 0.421)
F (0.404, 0.584, 0.515)
F (0.423, 0.018, 0.136)
F (0.423, 0.759, 0.761)
F (0.429, 0.811, 0.032)
F (0.438, 0.917, 0.827)
F (0.562, 0.417, 0.173)
F (0.571, 0.311, 0.968)
F (0.577, 0.259, 0.239)
F (0.577, 0.518, 0.864)
F (0.596, 0.084, 0.485)
F (0.690, 0.781, 0.579)
F (0.696, 0.654, 0.192)
F (0.701, 0.132, 0.778)
F (0.706, 0.977, 0.713)
F (0.759, 0.372, 0.762)
F (0.783, 0.527, 0.628)
F (0.803, 0.653, 0.884)
F (0.824, 0.406, 0.105)
F (0.825, 0.357, 0.377)
F (0.837, 0.249, 0.170)
F (0.872, 0.009, 0.540)
F (0.872, 0.164, 0.609)
F (0.899, 0.071, 0.137)
F (0.909, 0.902, 0.058)
F (0.978, 0.057, 0.834)

Calculated values
Space-group type   P2_1, No. 4
V   549.6 Å³/f.u.
Energy   -3.436 eV/atom